{"formula": "Cs2PuCl6", "functional": "r2SCAN", "state": "relaxed", "lattice": [[7.522, 0.000, 0.000], [-3.761, 6.514, 0.000], [0.000, 0.000, 6.041]], "species": ["Cs", "Cs", "Pu", "Cl", "Cl", "Cl", "Cl", "Cl", "Cl"], "frac_coords": [[0.333, 0.667, 0.238], [0.667, 0.333, 0.762], [0.000, 0.000, 0.500], [0.167, 0.334, 0.735], [0.167, 0.833, 0.735], [0.334, 0.167, 0.265], [0.666, 0.833, 0.735], [0.833, 0.167, 0.265], [0.833, 0.666, 0.265]], "total_magnetization_mub_per_fu": 4.0, "spacegroup": "P-3m1, No. 164", "total_energy_ev_per_cell": -193.334, "crystal_system": "trigonal"}